The following is a DFT calculation (PBE-GGA) of Tb4Ir after structural relaxation.

Unit cell a=10.902 b=10.902 c=10.902 alpha=90.00 beta=90.00 gamma=90.00
Space group Fd-3m (No. 227, origin choice 2)
Symmetry-distinct sites (fractional):
Tb 0.013 0.013 0.237 [32 per cell]
Ir 0.125 0.125 0.625 [8 per cell]

Summary:
Total energy ... -5.370 eV/atom
M_tot ... 0.001 μB/atom